Model i:
Material: LiV2F7
Method: DFT, PBE+U
State: optimized geometry

Space-group type   C2/c, No. 15

Unit cell a=9.1560 b=9.1560 c=5.6368 alpha=87.18 beta=87.18 gamma=31.46
Fractional positions:
F: 0.1925 0.0876 0.0141
F: 0.9124 0.8075 0.4859
F: 0.4745 0.3749 0.5695
F: 0.0876 0.1925 0.5141
F: 0.3749 0.4745 0.0695
F: 0.3901 0.1965 0.2930
F: 0.8035 0.6099 0.2070
F: 0.6251 0.5255 0.9305
F: 0.8873 0.1127 0.2500
F: 0.1965 0.3901 0.7930
F: 0.8075 0.9124 0.9859
F: 0.5255 0.6251 0.4305
F: 0.6099 0.8035 0.7070
F: 0.1127 0.8873 0.7500
V: 0.3608 0.8521 0.7202
V: 0.6392 0.1479 0.2798
V: 0.1479 0.6392 0.7798
V: 0.8521 0.3608 0.2202
Li: 0.0000 0.5000 0.5000
Li: 0.5000 0.0000 0.0000

***

Model ii:
Material: LiV2F7
Method: DFT, PBE+U
State: optimized geometry

Space-group type   Pc, No. 7

Unit cell a=7.1481 b=7.8207 c=10.1839 alpha=89.14 beta=90.00 gamma=90.00
Fractional positions:
V: 0.6095 0.8816 0.5794
V: 0.8838 0.1183 0.4172
V: 0.3829 0.6024 0.4079
V: 0.1162 0.1183 0.9172
V: 0.1085 0.3965 0.5918
V: 0.3905 0.8816 0.0794
V: 0.6171 0.6024 0.9079
V: 0.8915 0.3965 0.0918
F: 0.3887 0.4461 0.5726
F: 0.8651 0.1937 0.9748
F: 0.3597 0.7359 0.2359
F: 0.6113 0.4461 0.0726
F: 0.6341 0.6948 0.4474
F: 0.6403 0.7359 0.7359
F: 0.0610 0.9444 0.8005
F: 0.8821 0.5480 0.9299
F: 0.5615 0.4095 0.8109
F: 0.8360 0.3132 0.5560
F: 0.0523 0.5991 0.6791
F: 0.1179 0.5480 0.4299
F: 0.1640 0.3132 0.0560
F: 0.6627 0.8087 0.0368
F: 0.1349 0.1937 0.4748
F: 0.1126 0.9369 0.0651
F: 0.9390 0.9444 0.3005
F: 0.1403 0.2752 0.7594
F: 0.3373 0.8087 0.5368
F: 0.9477 0.5991 0.1791
F: 0.3808 0.0623 0.9347
F: 0.4547 0.0700 0.1823
F: 0.8874 0.9369 0.5651
F: 0.6192 0.0623 0.4347
F: 0.3659 0.6948 0.9474
F: 0.4385 0.4095 0.3109
F: 0.8597 0.2752 0.2594
F: 0.5453 0.0700 0.6823
Li: 0.1068 0.8287 0.6445
Li: 0.4078 0.3043 0.1489
Li: 0.8932 0.8287 0.1445
Li: 0.5922 0.3043 0.6489

***

Model iii:
Material: LiV2F7
Method: DFT, PBE+U
State: optimized geometry

Space-group type   P2/c, No. 13

Unit cell a=5.1915 b=5.5509 c=10.3072 alpha=79.78 beta=90.00 gamma=90.00
Fractional positions:
F: 0.9131 0.3335 0.6300
F: 0.5589 0.2177 0.9836
F: 0.0869 0.3335 0.1300
F: 0.5589 0.7823 0.5164
F: 0.0519 0.8462 0.6056
F: 0.0519 0.1538 0.8944
F: 0.4411 0.2177 0.4836
F: 0.5792 0.0000 0.7500
F: 0.9481 0.8462 0.1056
F: 0.4411 0.7823 0.0164
F: 0.9481 0.1538 0.3944
F: 0.0869 0.6665 0.3700
F: 0.4208 0.0000 0.2500
F: 0.9131 0.6665 0.8700
Li: 0.0600 0.5000 0.7500
Li: 0.9400 0.5000 0.2500
V: 0.2494 0.0708 0.0734
V: 0.7506 0.0708 0.5734
V: 0.2494 0.9292 0.4266
V: 0.7506 0.9292 0.9266

***

Which of them is the most stable, and which is the least stable? model i and model iii, in that order.

***

Model i:
Material: Li2Fe3CoO8
Method: DFT, PBE+U
State: optimized geometry

Space-group type   P4_132, No. 213

Unit cell a=8.3741 b=8.3741 c=8.3741 alpha=90.00 beta=90.00 gamma=90.00
Fractional positions:
Co: 0.1250 0.6250 0.8750
Co: 0.3750 0.3750 0.3750
Co: 0.8750 0.1250 0.6250
Co: 0.6250 0.8750 0.1250
O: 0.3808 0.6029 0.3836
O: 0.1192 0.3971 0.8836
O: 0.6164 0.8808 0.8971
O: 0.1369 0.1369 0.1369
O: 0.1164 0.6192 0.1029
O: 0.3836 0.3808 0.6029
O: 0.3692 0.3664 0.1471
O: 0.6369 0.3631 0.8631
O: 0.8631 0.6369 0.3631
O: 0.8692 0.1336 0.8529
O: 0.3869 0.1131 0.8869
O: 0.8664 0.3529 0.6308
O: 0.6131 0.6131 0.6131
O: 0.8529 0.8692 0.1336
O: 0.6308 0.8664 0.3529
O: 0.3529 0.6308 0.8664
O: 0.8971 0.6164 0.8808
O: 0.8869 0.3869 0.1131
O: 0.3971 0.8836 0.1192
O: 0.3631 0.8631 0.6369
O: 0.1336 0.8529 0.8692
O: 0.1471 0.3692 0.3664
O: 0.6192 0.1029 0.1164
O: 0.1029 0.1164 0.6192
O: 0.6336 0.6471 0.1308
O: 0.6471 0.1308 0.6336
O: 0.8808 0.8971 0.6164
O: 0.8836 0.1192 0.3971
O: 0.1308 0.6336 0.6471
O: 0.1131 0.8869 0.3869
O: 0.3664 0.1471 0.3692
O: 0.6029 0.3836 0.3808
Li: 0.7524 0.7524 0.7524
Li: 0.7476 0.2476 0.2524
Li: 0.2524 0.7476 0.2476
Li: 0.9976 0.9976 0.9976
Li: 0.0024 0.4976 0.5024
Li: 0.5024 0.0024 0.4976
Li: 0.2476 0.2524 0.7476
Li: 0.4976 0.5024 0.0024
Fe: 0.6250 0.3726 0.6226
Fe: 0.1250 0.1274 0.3774
Fe: 0.3774 0.1250 0.1274
Fe: 0.6274 0.1226 0.8750
Fe: 0.6226 0.6250 0.3726
Fe: 0.3726 0.6226 0.6250
Fe: 0.3750 0.8726 0.8774
Fe: 0.8774 0.3750 0.8726
Fe: 0.1274 0.3774 0.1250
Fe: 0.1226 0.8750 0.6274
Fe: 0.8726 0.8774 0.3750
Fe: 0.8750 0.6274 0.1226

***

Model ii:
Material: Li2Fe3CoO8
Method: DFT, PBE+U
State: optimized geometry

Space-group type   P2_1, No. 4

Unit cell a=8.3833 b=8.3141 c=8.4249 alpha=89.99 beta=90.00 gamma=90.08
Fractional positions:
O: 0.6020 0.1157 0.8811
O: 0.8811 0.6021 0.1160
O: 0.1338 0.6485 0.3690
O: 0.1338 0.8665 0.1481
O: 0.3845 0.1157 0.1026
O: 0.6373 0.1392 0.3646
O: 0.1121 0.6121 0.8852
O: 0.3641 0.6403 0.1361
O: 0.1359 0.3597 0.6363
O: 0.8628 0.8609 0.8644
O: 0.3966 0.6158 0.6180
O: 0.6113 0.8870 0.1149
O: 0.8678 0.3669 0.3519
O: 0.6153 0.6174 0.3974
O: 0.8848 0.3828 0.8976
O: 0.1192 0.1030 0.3838
O: 0.1474 0.1310 0.8665
O: 0.3659 0.1334 0.6480
O: 0.3878 0.3880 0.3853
O: 0.1155 0.8842 0.6025
O: 0.8532 0.6316 0.6344
O: 0.6325 0.6331 0.8518
O: 0.3524 0.8689 0.3665
O: 0.1035 0.3841 0.1181
O: 0.3663 0.3512 0.8690
O: 0.8668 0.1483 0.1307
O: 0.8887 0.1130 0.6149
O: 0.3807 0.8971 0.8836
O: 0.6191 0.3981 0.6162
O: 0.8978 0.8843 0.3810
O: 0.6471 0.3686 0.1343
O: 0.6331 0.8517 0.6304
Li: 0.0022 0.0020 0.0032
Li: 0.9979 0.5024 0.4984
Li: 0.2475 0.2475 0.2469
Li: 0.7528 0.7477 0.2516
Li: 0.4974 0.9981 0.5030
Li: 0.7474 0.2523 0.7518
Li: 0.5023 0.4976 0.9983
Li: 0.2527 0.7523 0.7466
Fe: 0.8726 0.6224 0.8747
Fe: 0.1222 0.6248 0.1271
Fe: 0.1257 0.3717 0.8783
Fe: 0.8786 0.1253 0.3728
Fe: 0.6213 0.8748 0.8727
Fe: 0.3743 0.6283 0.3782
Fe: 0.3729 0.8777 0.1252
Fe: 0.8737 0.8722 0.6219
Fe: 0.6262 0.1278 0.1220
Fe: 0.1269 0.1223 0.6253
Fe: 0.6275 0.3777 0.3747
Fe: 0.3779 0.3752 0.6271
Co: 0.1253 0.8761 0.3751
Co: 0.6249 0.6244 0.6248
Co: 0.8753 0.3756 0.1250
Co: 0.3745 0.1237 0.8750

***

Model iii:
Material: Li2Fe3CoO8
Method: DFT, PBE+U
State: optimized geometry

Space-group type   R-3m, No. 166

Unit cell a=5.8576 b=5.8576 c=5.8576 alpha=61.10 beta=61.10 gamma=61.10
Fractional positions:
O: 0.7293 0.2895 0.7293
O: 0.2621 0.2621 0.2621
O: 0.2895 0.7293 0.7293
O: 0.7105 0.2707 0.2707
O: 0.7379 0.7379 0.7379
O: 0.2707 0.2707 0.7105
O: 0.7293 0.7293 0.2895
O: 0.2707 0.7105 0.2707
Li: 0.1252 0.1252 0.1252
Li: 0.8748 0.8748 0.8748
Fe: 0.0000 0.5000 0.5000
Fe: 0.5000 0.0000 0.5000
Fe: 0.5000 0.5000 0.0000
Co: 0.5000 0.5000 0.5000

***

Which of them is the most stable, and which is the least stable? model ii and model i, in that order.